Computed, not measured: a relaxed SmTlAg2 crystal at the PBE-GGA level of DFT.

Geometry as POSCAR:
```
SmTlAg2
1.0
0.0000 3.5798 3.5798
3.5798 0.0000 3.5798
3.5798 3.5798 0.0000
Sm Tl Ag
1 1 2
Direct
0.0000 0.0000 0.0000 Sm
0.5000 0.5000 0.5000 Tl
0.2500 0.2500 0.2500 Ag
0.7500 0.7500 0.7500 Ag
```

Space-group type: No. 225
Energy relative to the elements (meV per atom): -254
Crystal system: cubic